WCl2 (PBE, optimized geometry); space group = Cmce, No. 64
1.0
5.747 -7.213 0.000
5.747 7.213 0.000
0.000 0.000 11.517
Cl W
24 12
Direct
0.080 0.326 0.920
0.703 0.457 0.297
0.543 0.297 0.703
0.580 0.826 0.580
0.457 0.703 0.297
0.826 0.580 0.580
0.797 0.043 0.797
0.920 0.674 0.080
0.296 0.704 0.000
0.326 0.080 0.920
0.043 0.797 0.797
0.420 0.174 0.420
0.146 0.146 0.647
0.297 0.543 0.703
0.354 0.354 0.147
0.174 0.420 0.420
0.704 0.296 0.000
0.957 0.203 0.203
0.204 0.796 0.500
0.796 0.204 0.500
0.203 0.957 0.203
0.646 0.646 0.853
0.854 0.854 0.353
0.674 0.920 0.080
0.129 0.871 0.000
0.935 0.935 0.148
0.871 0.129 0.000
0.565 0.565 0.648
0.629 0.371 0.500
0.371 0.629 0.500
0.065 0.065 0.852
0.352 0.352 0.565
0.435 0.435 0.352
0.148 0.148 0.065
0.648 0.648 0.435
0.852 0.852 0.935


Ca2Bi3O8 (PBE, optimized geometry); space group = P6_3mc, No. 186; polymorph energy (0 for the lowest one) = 23 meV/atom
1.0
-5.048 -1.382 4.616
2.767 -5.162 -3.795
7.187 -1.579 7.387
O Bi Ca
16 6 4
Direct
0.478 0.522 0.368
0.664 0.832 0.653
0.956 0.478 0.868
0.522 0.044 0.868
0.000 0.000 0.847
0.478 0.956 0.368
0.336 0.168 0.153
0.832 0.168 0.153
0.667 0.333 0.625
0.168 0.832 0.653
0.333 0.667 0.125
0.000 0.000 0.347
0.832 0.664 0.153
0.168 0.336 0.653
0.044 0.522 0.368
0.522 0.478 0.868
0.835 0.669 0.744
0.331 0.165 0.744
0.669 0.835 0.244
0.835 0.165 0.744
0.165 0.835 0.244
0.165 0.331 0.244
0.667 0.333 0.397
0.333 0.667 0.897
0.333 0.667 0.530
0.667 0.333 0.030


Tb7CoI12 (PBE, optimized geometry); space group = R-3, No. 148
1.0
-5.172 5.265 -6.437
4.970 -6.688 -5.145
-6.455 -4.882 5.513
I Tb Co
12 7 1
Direct
0.678 0.072 0.225
0.322 0.928 0.775
0.928 0.775 0.322
0.775 0.322 0.928
0.161 0.464 0.387
0.839 0.536 0.613
0.387 0.161 0.464
0.464 0.387 0.161
0.536 0.613 0.839
0.072 0.225 0.678
0.613 0.839 0.536
0.225 0.678 0.072
0.022 0.092 0.289
0.978 0.908 0.711
0.092 0.289 0.022
0.500 0.500 0.500
0.711 0.978 0.908
0.289 0.022 0.092
0.908 0.711 0.978
0.000 0.000 0.000


Er2Pt (PBE, optimized geometry); space group = Pnma, No. 62
1.0
4.745 0.000 0.000
0.000 7.094 0.000
0.000 0.000 8.718
Er Pt
8 4
Direct
0.250 0.856 0.920
0.750 0.644 0.420
0.750 0.010 0.668
0.250 0.990 0.332
0.750 0.510 0.832
0.250 0.490 0.168
0.250 0.356 0.580
0.750 0.144 0.080
0.750 0.241 0.406
0.250 0.759 0.594
0.750 0.741 0.094
0.250 0.259 0.906


ErAlCu (PBE, optimized geometry); space group = P-62m, No. 189
1.0
3.481 -6.029 0.000
3.481 6.029 0.000
0.000 0.000 4.016
Er Al Cu
3 3 3
Direct
0.586 0.586 0.500
0.414 0.000 0.500
0.000 0.414 0.500
0.765 0.000 0.000
0.000 0.765 0.000
0.235 0.235 0.000
0.333 0.667 0.000
0.667 0.333 0.000
0.000 0.000 0.500


SmTiO3 (PBE, optimized geometry); space group = Pnma, No. 62
1.0
-1.013 -5.277 -0.822
4.968 -1.352 2.556
-3.640 -0.373 6.878
Sm O Ti
4 12 4
Direct
0.019 0.934 0.750
0.981 0.066 0.250
0.519 0.566 0.250
0.481 0.434 0.750
0.196 0.202 0.552
0.304 0.702 0.948
0.804 0.798 0.052
0.304 0.702 0.552
0.105 0.465 0.250
0.196 0.202 0.948
0.696 0.298 0.052
0.395 0.965 0.250
0.895 0.535 0.750
0.605 0.035 0.750
0.804 0.798 0.448
0.696 0.298 0.448
0.500 0.000 0.500
0.500 0.000 0.000
0.000 0.500 0.500
0.000 0.500 0.000


In2Pb3N4 (PBE, optimized geometry); space group = C2/c, No. 15
1.0
7.363 -0.454 -0.476
-6.034 7.710 0.000
-0.489 -0.383 6.965
N Pb In
8 6 4
Direct
0.229 0.327 0.924
0.771 0.673 0.076
0.229 0.902 0.424
0.290 0.700 0.139
0.290 0.591 0.639
0.771 0.098 0.576
0.710 0.409 0.361
0.710 0.300 0.861
0.195 0.898 0.089
0.805 0.704 0.411
0.000 0.587 0.750
0.195 0.296 0.589
0.805 0.102 0.911
0.000 0.413 0.250
0.456 0.635 0.954
0.544 0.365 0.046
0.456 0.821 0.454
0.544 0.179 0.546


Na3Ca2Mg10Si16O44F4 (PBE, optimized geometry); space group = P1, No. 1
1.0
-3.509 6.881 1.232
-5.781 -1.720 5.391
3.467 1.027 17.667
Si O Mg Ca F Na
16 44 10 2 4 3
Direct
0.650 0.462 0.244
0.398 0.696 0.308
0.622 0.420 0.601
0.717 0.459 0.878
0.109 0.251 0.902
0.789 0.847 0.954
0.269 0.661 0.624
0.120 0.260 0.421
0.905 0.615 0.629
0.326 0.566 0.860
0.197 0.044 0.115
0.160 0.997 0.629
0.753 0.026 0.380
0.729 0.432 0.046
0.942 0.715 0.141
0.290 0.663 0.151
0.913 0.861 0.372
0.672 0.376 0.979
0.433 0.261 0.114
0.996 0.472 0.379
0.917 0.812 0.032
0.474 0.476 0.199
0.945 0.842 0.884
0.106 0.859 0.117
0.476 0.892 0.266
0.352 0.869 0.587
0.436 0.581 0.563
0.206 0.095 0.869
0.067 0.030 0.199
0.585 0.526 0.318
0.279 0.116 0.648
0.972 0.045 0.682
0.328 0.710 0.048
0.563 0.968 0.390
0.989 0.410 0.707
0.798 0.552 0.169
0.174 0.470 0.847
0.898 0.304 0.881
0.121 0.523 0.179
0.770 0.237 0.294
0.766 0.029 0.469
0.729 0.257 0.141
0.628 0.034 0.923
0.744 0.681 0.820
0.182 0.163 0.998
0.263 0.662 0.256
0.524 0.461 0.843
0.288 0.800 0.804
0.673 0.671 0.001
0.065 0.133 0.527
0.251 0.235 0.121
0.128 0.757 0.681
0.298 0.673 0.396
0.089 0.686 0.562
0.759 0.571 0.579
0.404 0.904 0.118
0.826 0.809 0.198
0.151 0.120 0.379
0.774 0.797 0.638
0.607 0.221 0.686
0.126 0.848 0.427
0.971 0.771 0.785
0.156 0.788 0.961
0.013 0.766 0.283
0.432 0.937 0.000
0.608 0.013 0.158
0.953 0.288 0.181
0.832 0.064 0.561
0.564 0.869 0.516
0.096 0.135 0.748
0.537 0.917 0.717
0.358 0.185 0.256
0.686 0.349 0.526
0.948 0.425 0.036
0.322 0.271 0.436
0.296 0.528 0.958
0.249 0.411 0.521
0.486 0.246 0.800
0.714 0.651 0.385


BaBr2O7 (PBE, optimized geometry); space group = C2/c, No. 15
1.0
-3.676 -4.933 -4.404
-3.393 -5.606 3.784
-8.920 -0.968 0.229
O Ba Br
14 2 4
Direct
0.715 0.901 0.019
0.050 0.745 0.109
0.391 0.325 0.133
0.745 0.050 0.609
0.609 0.675 0.867
0.297 0.703 0.750
0.099 0.285 0.481
0.950 0.255 0.891
0.285 0.099 0.981
0.675 0.609 0.367
0.255 0.950 0.391
0.703 0.297 0.250
0.325 0.391 0.633
0.901 0.715 0.519
0.349 0.651 0.250
0.651 0.349 0.750
0.214 0.169 0.805
0.169 0.214 0.305
0.786 0.831 0.195
0.831 0.786 0.695


Pr2I5 (PBE, optimized geometry); space group = P2_1/m, No. 11
1.0
4.365 0.000 0.000
0.000 9.417 0.000
0.000 1.222 14.953
I Pr
10 4
Direct
0.750 0.634 0.715
0.750 0.319 0.515
0.750 0.935 0.308
0.250 0.866 0.929
0.750 0.134 0.071
0.250 0.348 0.875
0.750 0.652 0.125
0.250 0.065 0.692
0.250 0.681 0.485
0.250 0.366 0.285
0.250 0.414 0.658
0.750 0.586 0.342
0.250 0.898 0.151
0.750 0.102 0.849


Mg3Ti4 (PBE, optimized geometry); space group = P6_3/m, No. 176; polymorph energy (0 for the lowest one) = 83 meV/atom
1.0
-6.857 -2.150 3.434
5.880 -5.310 -0.821
1.782 1.297 4.371
Mg Ti
6 8
Direct
0.471 0.378 0.250
0.378 0.907 0.750
0.622 0.093 0.250
0.529 0.622 0.750
0.907 0.529 0.250
0.093 0.471 0.750
0.667 0.333 0.750
0.044 0.226 0.250
0.333 0.667 0.250
0.226 0.182 0.750
0.818 0.044 0.750
0.956 0.774 0.750
0.182 0.956 0.250
0.774 0.818 0.250


Number 1: formation enthalpy at 0 K -1.134 eV per atom. Number 2: formation enthalpy at 0 K -2.006 eV per atom. Number 3: formation enthalpy at 0 K -1.452 eV per atom. Number 4: formation enthalpy at 0 K -0.975 eV per atom. Number 5: formation enthalpy at 0 K -0.463 eV per atom. Number 6: formation enthalpy at 0 K -3.592 eV per atom. Number 7: formation enthalpy at 0 K 0.332 eV per atom. Number 8: formation enthalpy at 0 K -2.649 eV per atom. Number 9: formation enthalpy at 0 K -0.783 eV per atom. Number 10: formation enthalpy at 0 K -1.683 eV per atom. Number 11: formation enthalpy at 0 K 0.205 eV per atom.